*w*
Below is a geometry-optimized Co2P3O10 structure, with properties calculated at the PBE+U level.

abc: 4.698 8.483 8.943
angles: 90.00 98.39 90.00
Fractional positions:
Co 0.052 0.069 0.328
Co 0.052 0.431 0.328
Co 0.948 0.569 0.672
Co 0.948 0.931 0.672
P 0.331 0.250 0.813
P 0.389 0.750 0.463
P 0.476 0.250 0.147
P 0.524 0.750 0.853
P 0.611 0.250 0.537
P 0.669 0.750 0.187
O 0.171 0.098 0.791
O 0.171 0.402 0.791
O 0.214 0.750 0.766
O 0.224 0.598 0.488
O 0.224 0.902 0.488
O 0.302 0.250 0.450
O 0.310 0.101 0.177
O 0.310 0.399 0.177
O 0.410 0.750 0.286
O 0.470 0.750 0.025
O 0.530 0.250 0.975
O 0.590 0.250 0.714
O 0.690 0.601 0.823
O 0.690 0.899 0.823
O 0.698 0.750 0.550
O 0.776 0.098 0.512
O 0.776 0.402 0.512
O 0.786 0.250 0.234
O 0.829 0.598 0.209
O 0.829 0.902 0.209

Summary:
Symmetry: P2_1/m, No. 11
Volume: 353 Å³ per cell

*x*
Below is a geometry-optimized Co2P3O10 structure, with properties calculated at the PBE+U level.

abc: 7.947 7.971 9.430
angles: 97.56 111.61 113.56
Fractional positions:
Co 0.173 0.260 0.460
Co 0.300 0.710 0.036
Co 0.700 0.290 0.964
Co 0.827 0.740 0.540
P 0.135 0.549 0.271
P 0.173 0.922 0.248
P 0.222 0.136 0.771
P 0.778 0.864 0.229
P 0.827 0.078 0.752
P 0.865 0.451 0.729
O 0.071 0.153 0.846
O 0.102 0.568 0.820
O 0.118 0.926 0.664
O 0.195 0.774 0.345
O 0.225 0.497 0.420
O 0.237 0.544 0.162
O 0.245 0.907 0.121
O 0.250 0.281 0.678
O 0.284 0.120 0.373
O 0.422 0.194 0.921
O 0.578 0.806 0.079
O 0.716 0.880 0.627
O 0.750 0.719 0.322
O 0.755 0.093 0.879
O 0.763 0.456 0.838
O 0.775 0.503 0.580
O 0.805 0.226 0.655
O 0.882 0.074 0.336
O 0.898 0.432 0.180
O 0.929 0.847 0.154

Summary:
Symmetry: P-1, No. 2
Volume: 481 Å³ per cell
Magnetization: 0.467 μB per atom

*y*
Below is a geometry-optimized Co2P3O10 structure, with properties calculated at the PBE+U level.

abc: 7.856 8.077 9.511
angles: 97.69 111.20 113.16
Fractional positions:
Co 0.173 0.256 0.457
Co 0.298 0.707 0.032
Co 0.702 0.293 0.968
Co 0.827 0.744 0.543
P 0.139 0.550 0.269
P 0.170 0.917 0.245
P 0.224 0.136 0.767
P 0.776 0.864 0.233
P 0.830 0.083 0.755
P 0.861 0.450 0.731
O 0.075 0.154 0.848
O 0.102 0.570 0.826
O 0.126 0.931 0.667
O 0.188 0.768 0.338
O 0.227 0.496 0.413
O 0.238 0.547 0.156
O 0.239 0.897 0.116
O 0.256 0.283 0.682
O 0.284 0.110 0.367
O 0.428 0.194 0.919
O 0.572 0.806 0.081
O 0.716 0.890 0.633
O 0.744 0.717 0.318
O 0.761 0.103 0.884
O 0.762 0.453 0.844
O 0.773 0.504 0.587
O 0.812 0.232 0.662
O 0.874 0.069 0.333
O 0.898 0.430 0.174
O 0.925 0.846 0.152

Summary:
Symmetry: P-1, No. 2
Volume: 490 Å³ per cell
Magnetization: 0.467 μB per atom

Most stable one: *y*, least stable one: *w*.